1.
Density functional theory data (PBE) for a relaxed structure of ZnS.

Unit cell a=9.7081 b=9.7081 c=9.7081 alpha=22.89 beta=22.89 gamma=22.89
Sites, in units of the cell vectors:
S1 0.9167 0.9167 0.9167
S2 0.4722 0.4722 0.4722
Zn1 0.7778 0.7778 0.7778
S3 0.6945 0.6945 0.6945
Zn2 0.5556 0.5556 0.5556
Zn3 0.0000 0.0000 0.0000

Properties
For the total energy, the calculation gives -3.50 eV per atom. The formation energy from the elements is -102.1 kJ/mol of atoms. Its piezoelectric modulus e_max is 0.143 C/m².


2.
Density functional theory data (PBE) for a relaxed structure of ZnS.

Unit cell a=25.2534 b=25.2534 c=25.2534 alpha=8.75 beta=8.75 gamma=8.75
Sites, in units of the cell vectors:
Zn1 0.6250 0.6250 0.6250
Zn2 0.7083 0.7083 0.7083
S1 0.0937 0.0937 0.0937
S2 0.3854 0.3854 0.3854
S3 0.6771 0.6771 0.6771
Zn3 0.2500 0.2500 0.2500
Zn4 0.4166 0.4166 0.4166
S4 0.8438 0.8438 0.8438
Zn5 0.0000 0.0000 0.0000
Zn6 0.1250 0.1250 0.1250
S5 0.2188 0.2188 0.2188
S6 0.9687 0.9687 0.9687
S7 0.4688 0.4688 0.4688
S8 0.5938 0.5938 0.5938
Zn7 0.5000 0.5000 0.5000
Zn8 0.8750 0.8750 0.8750

Properties
For the total energy, the calculation gives -3.50 eV per atom. The formation energy from the elements is -101.5 kJ/mol of atoms. The magnetization comes out at 0.000 Bohr magnetons per cell.


3.
Density functional theory data (PBE) for a relaxed structure of ZnS.

Unit cell a=3.8538 b=3.8538 c=75.5590 alpha=90.00 beta=90.00 gamma=120.00
Sites, in units of the cell vectors:
S1 0.6667 0.3333 0.8646
S2 0.3333 0.6667 0.6563
Zn1 0.0000 0.0000 0.6667
S3 0.0000 0.0000 0.8229
S4 0.3333 0.6667 0.1562
S5 0.6667 0.3333 0.3229
S6 0.0000 0.0000 0.6979
Zn2 0.3333 0.6667 0.1250
Zn3 0.0000 0.0000 0.7917
S7 0.3333 0.6667 0.0313
Zn4 0.3333 0.6667 0.7500
S8 0.6667 0.3333 0.1979
S9 0.6667 0.3333 0.0729
Zn5 0.3333 0.6667 0.3750
Zn6 0.6667 0.3333 0.8333
S10 0.0000 0.0000 0.4896
S11 0.3333 0.6667 0.2812
S12 0.6667 0.3333 0.5729
Zn7 0.6667 0.3333 0.5417
S13 0.3333 0.6667 0.4062
S14 0.6667 0.3333 0.7396
S15 0.0000 0.0000 0.2396
Zn8 0.0000 0.0000 0.3333
Zn9 0.3333 0.6667 0.0000
Zn10 0.0000 0.0000 0.5833
Zn11 0.3333 0.6667 0.5000
S16 0.6667 0.3333 0.9896
Zn12 0.0000 0.0000 0.2083
S17 0.3333 0.6667 0.5312
S18 0.3333 0.6667 0.9062
S19 0.0000 0.0000 0.1146
S20 0.0000 0.0000 0.9479
Zn13 0.0000 0.0000 0.0833
S21 0.0000 0.0000 0.6146
Zn14 0.6667 0.3333 0.0417
Zn15 0.6667 0.3333 0.9583
Zn16 0.6667 0.3333 0.4167
Zn17 0.6667 0.3333 0.2917
Zn18 0.0000 0.0000 0.9167
Zn19 0.3333 0.6667 0.6250
S22 0.0000 0.0000 0.3646
Zn20 0.3333 0.6667 0.8750
Zn21 0.6667 0.3333 0.1667
Zn22 0.0000 0.0000 0.4583
Zn23 0.3333 0.6667 0.2500
S23 0.6667 0.3333 0.4479
Zn24 0.6667 0.3333 0.7083
S24 0.3333 0.6667 0.7812

Properties
For the total energy, the calculation gives -3.51 eV per atom. The formation energy from the elements is -102.5 kJ/mol of atoms.